(1)
Compound: Na6Sc6Nb2Si5S7O48
Source: Materials Project
Functional: PBE
Structure: optimized geometry

Unit cell a=17.876 b=8.971 c=23.087 alpha=90.04 beta=90.12 gamma=120.09
Sites, in units of the cell vectors:
Na1 0.170 0.304 0.913
O1 0.428 0.354 0.920
O2 0.749 0.872 0.359
O3 0.091 0.692 0.752
O4 0.258 0.864 0.081
O5 0.727 0.306 0.032
O6 0.676 0.482 0.079
O7 0.340 0.519 0.241
O8 0.567 0.651 0.078
Sc1 0.997 0.990 0.847
O9 0.576 0.506 0.861
S1 0.519 0.664 0.416
Na2 0.498 0.996 0.500
Na3 0.489 0.304 0.420
O10 0.084 0.694 0.473
O11 0.559 0.636 0.364
O12 0.180 0.489 0.363
O13 0.490 0.166 0.591
O14 0.080 0.989 0.913
O15 0.239 0.159 0.240
O16 0.220 0.300 0.031
O17 0.681 0.875 0.864
Si1 0.164 0.960 0.918
Si2 0.024 0.669 0.419
Si3 0.665 0.368 0.417
O18 0.316 0.507 0.641
Si4 0.353 0.703 0.254
O19 0.010 0.834 0.411
Si5 0.525 0.378 0.918
O20 0.591 0.490 0.251
O21 0.938 0.353 0.636
O22 0.821 0.134 0.140
S2 0.646 0.001 0.249
O23 0.142 0.831 0.974
Si6 0.482 0.348 0.582
O24 0.927 0.501 0.420
Na4 0.171 0.671 0.167
S3 0.356 0.002 0.749
O25 0.581 0.190 0.694
O26 0.599 0.170 0.090
O27 0.933 0.365 0.925
O28 0.269 0.703 0.972
O29 0.684 0.491 0.361
Sc2 0.171 0.683 0.814
S4 0.147 0.290 0.750
Na5 0.499 0.996 0.993
O30 0.403 0.834 0.195
Sc3 0.172 0.680 0.014
O31 0.010 0.203 0.912
O32 0.424 0.533 0.746
O33 0.406 0.024 0.802
Na6 0.337 0.344 0.836
Sc4 0.667 0.655 0.517
Sc5 0.497 0.004 0.349
O34 0.902 0.823 0.196
O35 0.731 0.161 0.242
O36 0.407 0.842 0.909
O37 0.642 0.452 0.472
O38 0.512 0.189 0.195
Sc6 0.829 0.310 0.984
O39 0.351 0.547 0.528
Si7 0.853 0.002 0.753
Nb1 0.995 0.988 0.652
O40 0.818 0.142 0.424
S5 0.020 0.376 0.918
Na7 0.828 0.324 0.823
O41 0.271 0.842 0.751
O42 0.096 0.172 0.093
O43 0.906 0.971 0.408
O44 0.768 0.832 0.472
O45 0.097 0.026 0.591
O46 0.771 0.699 0.250
O47 0.490 0.807 0.092
O48 0.650 0.476 0.759
O49 0.771 0.689 0.969
S6 0.856 0.709 0.249
O50 0.073 0.454 0.970
S7 0.310 0.956 0.417
O51 0.925 0.316 0.241
S8 0.169 0.382 0.416
O52 0.257 0.866 0.363
O53 0.325 0.126 0.135
O54 0.012 0.836 0.695
O55 0.398 0.977 0.411
Nb2 0.165 0.674 0.311
O56 0.153 0.459 0.752
O57 0.608 0.025 0.302
O58 0.676 0.868 0.578
O59 0.917 0.808 0.591
Sc7 0.834 0.335 0.692
Si8 0.144 0.003 0.252
S9 0.688 0.042 0.584
O60 0.986 0.186 0.302
Na8 0.348 0.030 0.915
O61 0.740 0.319 0.742
S10 0.979 0.329 0.585
O62 0.246 0.362 0.420
O63 0.183 0.872 0.862
O64 0.081 0.971 0.193
Nb3 0.500 0.016 0.642
Na9 0.990 0.677 0.912
Sc8 0.839 0.331 0.475
O65 0.590 0.970 0.911
O66 0.417 0.311 0.241
O67 0.173 0.867 0.578
Si9 0.313 0.669 0.915
O68 0.239 0.355 0.135
Na10 0.669 0.034 0.416
O69 0.318 0.494 0.924
O70 0.907 0.787 0.301
Na11 0.168 0.665 0.668
Sc9 0.337 0.344 0.680
S11 0.835 0.628 0.584
Si10 0.644 0.280 0.751
Sc10 0.503 0.008 0.855
O71 0.572 0.693 0.469
O72 0.758 0.823 0.761
Na12 0.665 0.666 0.168
O73 0.599 0.171 0.808
O74 0.089 0.196 0.698
Sc11 0.341 0.347 0.974
Si11 0.811 0.954 0.416
O75 0.251 0.148 0.927
O76 0.851 0.158 0.028
O77 0.928 0.553 0.030
O78 0.654 0.848 0.251
Na13 0.999 0.003 0.997
O79 0.840 0.161 0.741
S12 0.479 0.629 0.085
O80 0.488 0.788 0.804
O81 0.746 0.132 0.922
O82 0.751 0.353 0.425
O83 0.583 0.473 0.974
O84 0.270 0.854 0.468
O85 0.237 0.121 0.636
O86 0.097 0.027 0.306
O87 0.345 0.154 0.743
O88 0.579 0.510 0.580
O89 0.598 0.021 0.592
O90 0.739 0.354 0.136
O91 0.580 0.171 0.412
Sc12 0.004 0.000 0.358
O92 0.438 0.523 0.136
O93 0.920 0.019 0.096
O94 0.415 0.022 0.091
Si12 0.831 0.034 0.085
O95 0.413 0.797 0.308
O96 0.058 0.482 0.866
O97 0.850 0.558 0.530
O98 0.432 0.355 0.639
O99 0.401 0.981 0.697
O100 0.090 0.212 0.410
O101 0.159 0.464 0.468
Si13 0.003 0.701 0.753
O102 0.899 0.819 0.912
O103 0.580 0.696 0.757
Na14 0.662 0.659 0.660
O104 0.250 0.658 0.577
O105 0.080 0.462 0.254
O106 0.722 0.144 0.530
O107 0.012 0.204 0.197
O108 0.425 0.302 0.522
Si14 0.330 0.625 0.585
O109 0.066 0.646 0.081
O110 0.822 0.511 0.922
Nb4 0.494 0.001 0.152
O111 0.761 0.654 0.580
O112 0.927 0.300 0.532
Nb5 0.001 0.996 0.146
O113 0.075 0.646 0.361
O114 0.935 0.521 0.135
S13 0.686 0.330 0.084
O115 0.510 0.186 0.911
S14 0.334 0.041 0.084
O116 0.750 0.844 0.078
O117 0.512 0.814 0.699
Sc13 0.166 0.665 0.522
Na15 0.000 0.003 0.495
O118 0.420 0.817 0.597
O119 0.224 0.146 0.532
O120 0.659 0.855 0.969
O121 0.490 0.187 0.309
Nb6 0.662 0.652 0.808
O122 0.758 0.643 0.864
O123 0.988 0.803 0.091
Si15 0.504 0.306 0.253
Sc14 0.830 0.319 0.183
Sc15 0.335 0.334 0.193
O124 0.348 0.138 0.030
S15 0.999 0.288 0.250
S16 0.668 0.955 0.916
O125 0.171 0.481 0.079
O126 0.067 0.482 0.578
O127 0.913 0.030 0.808
Sc16 0.669 0.658 0.316
Na16 0.329 0.335 0.326
O128 0.432 0.505 0.422
O129 0.826 0.524 0.635
O130 0.990 0.173 0.592
O131 0.848 0.539 0.239
O132 0.107 0.191 0.803
O133 0.150 0.822 0.258
O134 0.903 0.972 0.695
S17 0.979 0.624 0.084
Na17 0.846 0.666 0.418
O135 0.257 0.692 0.259
O136 0.248 0.624 0.860
O137 0.231 0.302 0.743
Na18 0.836 0.329 0.341
O138 0.590 0.982 0.197
S18 0.498 0.710 0.751
S19 0.187 0.334 0.084
O139 0.989 0.790 0.810
Sc17 0.336 0.347 0.489
O140 0.318 0.129 0.418
O141 0.917 0.522 0.742
O142 0.741 0.128 0.635
S20 0.185 0.042 0.584
S21 0.810 0.665 0.917
O143 0.511 0.821 0.410
Sc18 0.666 0.666 0.020
O144 0.427 0.554 0.032

Output
Energy of formation in eV per atom: -2.743
V in Å³/atom: 14.4


(2)
Compound: UCoGe
Source: Materials Project
Functional: PBE
Structure: optimized geometry

Unit cell a=4.194 b=4.194 c=6.814 alpha=90.00 beta=90.00 gamma=120.03
Sites, in units of the cell vectors:
U1 0.000 0.000 0.500
U2 0.000 0.000 0.000
Ge1 0.333 0.667 0.750
Co1 0.333 0.667 0.250
Ge2 0.667 0.333 0.250
Co2 0.667 0.333 0.750

Output
Energy of formation in eV per atom: -0.289
V in Å³/atom: 17.3


(3)
Compound: Ca2TlCd
Source: Materials Project
Functional: PBE
Structure: optimized geometry

Unit cell a=3.847 b=3.847 c=7.860 alpha=90.00 beta=90.00 gamma=90.00
Sites, in units of the cell vectors:
Cd1 0.500 0.500 0.000
Ca1 0.000 0.000 0.751
Ca2 0.000 0.000 0.249
Tl1 0.500 0.500 0.500

Output
Energy of formation in eV per atom: -0.406
V in Å³/atom: 29.1


(4)
Compound: Ag2Pb8Cl4O7
Source: Materials Project
Functional: PBE
Structure: optimized geometry

Unit cell a=18.414 b=8.263 c=15.128 alpha=57.11 beta=90.00 gamma=90.00
Sites, in units of the cell vectors:
Ag1 0.533 0.483 0.887
Cl1 0.912 0.121 0.512
O1 0.224 0.791 0.315
Pb1 0.771 0.884 0.246
O2 0.226 0.321 0.315
O3 0.274 0.321 0.815
O4 0.138 0.160 0.212
Pb2 0.893 0.635 0.739
Pb3 0.245 0.626 0.502
Cl2 0.932 0.186 0.205
O5 0.276 0.791 0.815
Pb4 0.393 0.365 0.761
Ag2 0.049 0.019 0.601
Pb5 0.586 0.119 0.510
O6 0.699 0.579 0.547
O7 0.774 0.679 0.685
O8 0.301 0.421 0.453
Cl3 0.568 0.186 0.705
O9 0.724 0.209 0.185
Pb6 0.090 0.339 0.037
Pb7 0.606 0.140 0.241
Pb8 0.607 0.635 0.239
Cl4 0.432 0.814 0.295
O10 0.776 0.209 0.685
Pb9 0.590 0.661 0.463
O11 0.199 0.421 0.953
Cl5 0.089 0.379 0.501
O12 0.726 0.679 0.185
O13 0.795 0.061 0.069
Pb10 0.410 0.339 0.537
Pb11 0.271 0.116 0.254
O14 0.632 0.429 0.415
O15 0.368 0.009 0.582
Pb12 0.229 0.116 0.754
Pb13 0.914 0.119 0.010
Cl6 0.589 0.621 0.999
O16 0.868 0.991 0.918
Cl7 0.069 0.334 0.802
Pb14 0.795 0.403 0.226
Pb15 0.253 0.114 0.002
Ag3 0.033 0.517 0.613
Pb16 0.106 0.860 0.259
Ag4 0.951 0.981 0.399
Cl8 0.431 0.334 0.302
O17 0.862 0.840 0.788
Pb17 0.394 0.860 0.759
Pb18 0.753 0.886 0.498
Ag5 0.451 0.019 0.101
O18 0.705 0.061 0.569
Ag6 0.467 0.517 0.113
O19 0.801 0.579 0.047
O20 0.632 0.991 0.418
Cl9 0.412 0.879 0.988
Pb19 0.107 0.365 0.261
O21 0.362 0.160 0.712
Cl10 0.911 0.621 0.499
Pb20 0.205 0.597 0.774
Cl11 0.088 0.879 0.488
Pb21 0.414 0.881 0.490
Pb22 0.705 0.403 0.726
Pb23 0.894 0.140 0.741
Cl12 0.931 0.666 0.198
O22 0.132 0.571 0.085
Cl13 0.588 0.121 0.012
Ag7 0.549 0.981 0.899
Pb24 0.747 0.886 0.998
O23 0.132 0.009 0.082
O24 0.205 0.939 0.931
Pb25 0.729 0.884 0.746
Ag8 0.967 0.483 0.387
Pb26 0.086 0.881 0.990
O25 0.295 0.939 0.431
Pb27 0.247 0.114 0.502
Pb28 0.910 0.661 0.963
Cl14 0.569 0.666 0.698
O26 0.638 0.840 0.288
O27 0.368 0.571 0.585
Pb29 0.745 0.374 0.998
Pb30 0.755 0.374 0.498
O28 0.868 0.429 0.915
Cl15 0.411 0.379 0.001
Cl16 0.068 0.814 0.795
Pb31 0.295 0.597 0.274
Pb32 0.255 0.626 0.002

Output
Energy of formation in eV per atom: -1.266
V in Å³/atom: 23.0